1.
Below is crystalline ZnFe2O4 at its relaxed geometry, with properties calculated at the PBE+U level.

abc: 2.9500 9.7364 10.0699
angles: 90.00 90.00 90.00
Fractional coordinates of all 28 atoms:
Zn (0.1990, 0.1384, 0.2500)
Zn (0.1990, 0.3616, 0.7500)
Zn (0.8010, 0.6384, 0.2500)
Zn (0.8010, 0.8616, 0.7500)
Fe (0.2638, 0.6184, 0.5742)
Fe (0.2638, 0.6184, 0.9258)
Fe (0.2638, 0.8816, 0.0742)
Fe (0.2638, 0.8816, 0.4258)
Fe (0.7362, 0.1184, 0.5742)
Fe (0.7362, 0.1184, 0.9258)
Fe (0.7362, 0.3816, 0.0742)
Fe (0.7362, 0.3816, 0.4258)
O (0.2351, 0.2500, 0.0000)
O (0.2351, 0.2500, 0.5000)
O (0.2392, 0.5196, 0.1132)
O (0.2392, 0.5196, 0.3868)
O (0.2392, 0.9804, 0.6132)
O (0.2392, 0.9804, 0.8868)
O (0.2938, 0.7148, 0.7500)
O (0.2938, 0.7852, 0.2500)
O (0.7062, 0.2148, 0.7500)
O (0.7062, 0.2852, 0.2500)
O (0.7608, 0.0196, 0.1132)
O (0.7608, 0.0196, 0.3868)
O (0.7608, 0.4804, 0.6132)
O (0.7608, 0.4804, 0.8868)
O (0.7649, 0.7500, 0.0000)
O (0.7649, 0.7500, 0.5000)

## Properties
- ΔE_f: -1588 meV/atom
- Polymorph energy (0 for the lowest one): 106 kJ/mol of formula units

---

2.
Below is crystalline LiVO2F2 at its relaxed geometry, with properties calculated at the PBE+U level.

abc: 6.2981 3.5391 6.7192
angles: 90.00 111.00 90.00
Fractional coordinates of all 12 atoms:
Li (0.1724, 0.2500, 0.2028)
Li (0.8276, 0.7500, 0.7972)
V (0.3514, 0.2500, 0.7706)
V (0.6486, 0.7500, 0.2294)
O (0.1992, 0.2500, 0.5184)
O (0.4050, 0.7500, 0.8502)
O (0.5950, 0.2500, 0.1498)
O (0.8008, 0.7500, 0.4816)
F (0.1118, 0.2500, 0.8857)
F (0.3544, 0.7500, 0.2527)
F (0.6456, 0.2500, 0.7473)
F (0.8882, 0.7500, 0.1143)

## Properties
- ΔE_f: -2717 meV/atom
- Polymorph energy (0 for the lowest one): 0 kJ/mol of formula units

---

3.
Below is crystalline Li4TiCo3O8 at its relaxed geometry, with properties calculated at the PBE+U level.

abc: 5.8443 5.9493 10.1937
angles: 73.36 73.80 60.63
Fractional coordinates of all 32 atoms:
Li (0.0000, 0.0000, 0.0000)
Li (0.9998, 0.4906, 0.5040)
Li (0.2514, 0.2442, 0.7488)
Li (0.2518, 0.7511, 0.2473)
Li (0.5046, 0.4973, 0.4970)
Li (0.5069, 0.9962, 0.9937)
Li (0.7581, 0.2432, 0.7480)
Li (0.7587, 0.7468, 0.2473)
Ti (0.2636, 0.2427, 0.2525)
Ti (0.7519, 0.7481, 0.7413)
Co (0.0017, 0.4988, 0.9980)
Co (0.0063, 0.9960, 0.5004)
Co (0.2512, 0.7423, 0.7518)
Co (0.4977, 0.5037, 0.9934)
Co (0.5054, 0.9976, 0.4979)
Co (0.7583, 0.2519, 0.2459)
O (0.1074, 0.6320, 0.6250)
O (0.1143, 0.1424, 0.1313)
O (0.1272, 0.1092, 0.6134)
O (0.1390, 0.6004, 0.1245)
O (0.3659, 0.3751, 0.8879)
O (0.3707, 0.8955, 0.3644)
O (0.3957, 0.3658, 0.3593)
O (0.3974, 0.8562, 0.8728)
O (0.6198, 0.1409, 0.1322)
O (0.6281, 0.6281, 0.6302)
O (0.6382, 0.1003, 0.6327)
O (0.6474, 0.5911, 0.1197)
O (0.8680, 0.3932, 0.8698)
O (0.8728, 0.9157, 0.3719)
O (0.8767, 0.8507, 0.8735)
O (0.8937, 0.3618, 0.3617)

## Properties
- ΔE_f: -2062 meV/atom
- Polymorph energy (0 for the lowest one): 35 kJ/mol of formula units

---

4.
Below is crystalline HoMnO3 at its relaxed geometry, with properties calculated at the PBE+U level.

abc: 6.1982 6.1982 11.5395
angles: 90.00 90.00 120.00
Fractional coordinates of all 30 atoms:
Ho (0.0000, 0.0000, 0.0000)
Ho (0.0000, 0.0000, 0.5000)
Ho (0.3333, 0.6667, 0.4563)
Ho (0.3333, 0.6667, 0.9563)
Ho (0.6667, 0.3333, 0.4563)
Ho (0.6667, 0.3333, 0.9563)
Mn (0.0000, 0.3335, 0.2252)
Mn (0.0000, 0.6665, 0.7252)
Mn (0.3335, 0.0000, 0.2252)
Mn (0.3335, 0.3335, 0.7252)
Mn (0.6665, 0.0000, 0.7252)
Mn (0.6665, 0.6665, 0.2252)
O (0.0000, 0.0000, 0.2004)
O (0.0000, 0.0000, 0.7004)
O (0.0000, 0.3070, 0.3902)
O (0.0000, 0.3592, 0.0604)
O (0.0000, 0.6408, 0.5604)
O (0.0000, 0.6930, 0.8902)
O (0.3070, 0.0000, 0.3902)
O (0.3070, 0.3070, 0.8902)
O (0.3333, 0.6667, 0.2462)
O (0.3333, 0.6667, 0.7462)
O (0.3592, 0.0000, 0.0604)
O (0.3592, 0.3592, 0.5604)
O (0.6408, 0.0000, 0.5604)
O (0.6408, 0.6408, 0.0604)
O (0.6667, 0.3333, 0.2462)
O (0.6667, 0.3333, 0.7462)
O (0.6930, 0.0000, 0.8902)
O (0.6930, 0.6930, 0.3902)

## Properties
- ΔE_f: -3071 meV/atom

---

5.
Below is crystalline MgTi2Ni2O6 at its relaxed geometry, with properties calculated at the PBE+U level.

abc: 5.0592 5.1071 5.6721
angles: 112.71 90.52 119.62
Fractional coordinates of all 11 atoms:
Mg (0.0000, 0.0000, 0.0000)
Ti (0.2100, 0.3679, 0.5206)
Ti (0.7882, 0.6330, 0.4791)
Ni (0.3514, 0.7095, 0.0643)
Ni (0.6484, 0.2885, 0.9347)
O (0.0469, 0.4554, 0.2442)
O (0.2288, 0.1754, 0.7473)
O (0.4143, 0.1782, 0.2382)
O (0.5863, 0.8227, 0.7617)
O (0.7730, 0.8309, 0.2564)
O (0.9538, 0.5463, 0.7558)

## Properties
- ΔE_f: -2336 meV/atom
- Polymorph energy (0 for the lowest one): 45 kJ/mol of formula units

---

6.
Below is crystalline Li8FeO5F at its relaxed geometry, with properties calculated at the PBE+U level.

abc: 5.6229 5.6229 10.9780
angles: 90.00 90.00 120.00
Fractional coordinates of all 30 atoms:
Li (0.0171, 0.6234, 0.0000)
Li (0.0285, 0.3123, 0.1535)
Li (0.2838, 0.9715, 0.1535)
Li (0.3123, 0.2838, 0.6535)
Li (0.3333, 0.6667, 0.2948)
Li (0.3333, 0.6667, 0.8050)
Li (0.3766, 0.3936, 0.0000)
Li (0.3936, 0.0171, 0.5000)
Li (0.6064, 0.9829, 0.0000)
Li (0.6234, 0.6064, 0.5000)
Li (0.6667, 0.3333, 0.3050)
Li (0.6667, 0.3333, 0.7948)
Li (0.6877, 0.7162, 0.1535)
Li (0.7162, 0.0285, 0.6535)
Li (0.9715, 0.6877, 0.6535)
Li (0.9829, 0.3766, 0.5000)
Fe (0.0000, 0.0000, 0.3723)
Fe (0.0000, 0.0000, 0.8723)
O (0.0000, 0.0000, 0.0527)
O (0.0000, 0.0000, 0.5527)
O (0.0017, 0.6773, 0.8273)
O (0.3227, 0.3244, 0.8273)
O (0.3244, 0.0017, 0.3273)
O (0.3333, 0.6667, 0.0921)
O (0.6667, 0.3333, 0.5921)
O (0.6756, 0.9983, 0.8273)
O (0.6773, 0.6756, 0.3273)
O (0.9983, 0.3227, 0.3273)
F (0.3333, 0.6667, 0.5850)
F (0.6667, 0.3333, 0.0850)

## Properties
- ΔE_f: -2167 meV/atom
- Polymorph energy (0 for the lowest one): 0 kJ/mol of formula units